Record 1
Crystalline BaSrN at its relaxed geometry. Source: Materials Project, functional PBE-GGA.

Summary:
Its energy is -4.45 eV/atom. Its formation energy is -0.586 eV per atom. As for the symmetry: R3m (160).

abc: 3.9598 3.9598 21.8493
angles: 90.00 90.00 120.00
Fractional positions:
Ba 0.0000 0.0000 0.0000
Ba 0.3333 0.6667 0.6667
Ba 0.6667 0.3333 0.3333
Sr 0.0000 0.0000 0.4658
Sr 0.3333 0.6667 0.1325
Sr 0.6667 0.3333 0.7991
N 0.0000 0.0000 0.7363
N 0.3333 0.6667 0.4030
N 0.6667 0.3333 0.0697


Record 2
Crystalline Ce2CdPt2 at its relaxed geometry. Source: Materials Project, functional PBE-GGA.

Summary:
Its energy is -5.93 eV/atom. Its formation energy is -0.940 eV per atom. As for the symmetry: P4/mbm (127).

abc: 7.8696 7.8696 3.7580
angles: 90.00 90.00 90.00
Fractional positions:
Ce 0.1696 0.3304 0.0000
Ce 0.3304 0.8304 0.0000
Ce 0.6696 0.1696 0.0000
Ce 0.8304 0.6696 0.0000
Cd 0.0000 0.0000 0.5000
Cd 0.5000 0.5000 0.5000
Pt 0.1323 0.6323 0.5000
Pt 0.3677 0.1323 0.5000
Pt 0.6323 0.8677 0.5000
Pt 0.8677 0.3677 0.5000